1.
This record from the Materials Project describes a relaxed structure of Dy5CoSb2. The functional is r2SCAN.

Properties
* energy of formation: -786 meV/atom

The structure in POSCAR format:
```
Dy5CoSb2
1.0
12.186 0.000 0.000
0.000 8.694 0.000
0.000 0.000 7.904
Dy Co Sb
20 4 8
Cartesian
0.020 2.174 0.320
0.786 4.612 2.554
0.786 8.429 2.554
2.346 2.174 4.956
2.443 6.521 5.165
3.650 2.174 1.213
3.747 6.521 1.004
5.307 0.265 6.506
5.307 4.082 6.506
6.073 6.521 4.272
6.114 2.174 3.632
6.879 4.612 1.398
6.879 8.429 1.398
8.439 2.174 6.900
8.536 6.521 6.691
9.744 2.174 2.739
9.840 6.521 2.948
11.400 0.265 5.350
11.400 4.082 5.350
12.166 6.521 7.584
0.103 2.174 3.506
5.990 6.521 7.458
6.197 2.174 0.446
12.083 6.521 4.398
2.112 0.056 7.367
2.112 4.292 7.367
3.982 4.403 3.415
3.982 8.639 3.415
8.205 0.056 4.489
8.205 4.292 4.489
10.075 4.403 0.537
10.075 8.639 0.537
```

2.
This record from the Materials Project describes a relaxed structure of TaAl3. The functional is r2SCAN.

Properties
* energy of formation: -374 meV/atom

The structure in POSCAR format:
```
TaAl3
1.0
-1.917 1.917 4.251
1.917 -1.917 4.251
1.917 1.917 -4.251
Ta Al
1 3
Cartesian
0.000 0.000 0.000
1.917 0.000 2.126
0.000 0.000 4.251
0.000 1.917 2.126
```

3.
This record from the Materials Project describes a relaxed structure of Eu2Ga7Ag. The functional is r2SCAN.

Properties
* energy of formation: -493 meV/atom

The structure in POSCAR format:
```
Eu2Ga7Ag
1.0
4.323 0.000 0.000
0.000 4.323 0.000
0.000 0.000 10.812
Eu Ga Ag
2 7 1
Cartesian
0.000 2.161 2.651
2.161 0.000 8.160
0.000 0.000 0.000
0.000 2.161 6.882
0.000 2.161 9.362
2.161 0.000 1.450
2.161 0.000 3.930
2.161 2.161 0.000
2.161 2.161 5.406
0.000 0.000 5.406
```

4.
This record from the Materials Project describes a relaxed structure of La2NiPt. The functional is r2SCAN.

Properties
* energy of formation: -779 meV/atom

The structure in POSCAR format:
```
La2NiPt
1.0
4.461 0.000 0.000
0.000 1.977 5.472
0.000 -1.977 5.472
La Ni Pt
2 1 1
Cartesian
0.000 0.000 0.000
2.231 0.000 2.970
2.231 0.000 6.031
0.000 0.000 7.839
```

5.
This record from the Materials Project describes a relaxed structure of ThGe. The functional is r2SCAN.

Properties
* energy of formation: -914 meV/atom

The structure in POSCAR format:
```
ThGe
1.0
0.000 3.046 3.046
3.046 0.000 3.046
3.046 3.046 0.000
Th Ge
1 1
Cartesian
0.000 0.000 0.000
3.046 3.046 3.046
```

6.
This record from the Materials Project describes a relaxed structure of YNi2B2. The functional is r2SCAN.

Properties
* energy of formation: -591 meV/atom

The structure in POSCAR format:
```
YNi2B2
1.0
4.190 -2.637 0.000
4.190 2.637 0.000
-4.092 0.000 5.440
Y Ni B
2 4 4
Cartesian
1.122 2.011 4.080
3.167 -2.011 1.360
1.917 0.500 1.632
-0.129 -0.500 4.351
4.418 0.500 1.088
2.372 -0.500 3.808
-1.226 0.916 5.297
3.470 0.916 2.863
0.819 -0.916 2.577
5.516 -0.916 0.143
```

| no. | total DFT energy (no corrections) (eV per atom) |
| --- | --- |
| 1 | -28.86 |
| 2 | -17.57 |
| 3 | -18.34 |
| 4 | -31.52 |
| 5 | -44.59 |
| 6 | -12.38 |